(1)
# VF4 (GGA+U, optimized geometry)
# * DFT formation energy: -2.95 eV/atom
data_VF4
_chemical_formula_sum 'V4 F16'
_symmetry_space_group_name_H-M 'P 1'
_symmetry_Int_Tables_number 1
_cell_length_a 6.0809
_cell_length_b 4.9605
_cell_length_c 10.8932
_cell_angle_alpha 63.92
_cell_angle_beta 90.00
_cell_angle_gamma 90.00
loop_
_symmetry_equiv_pos_as_xyz
'x,y,z'
loop_
_atom_site_label
_atom_site_fract_x
_atom_site_fract_y
_atom_site_fract_z
_atom_site_occupancy
F1 0.6337 0.4859 0.3921 1
F2 0.1455 0.0005 0.8808 1
F3 0.8663 0.4859 0.8921 1
V1 0.3371 0.7521 0.9979 1
F4 0.3545 0.0005 0.3808 1
F5 0.3663 0.5141 0.6079 1
F6 0.4075 0.9721 0.1017 1
F7 0.5925 0.0279 0.8983 1
F8 0.8545 0.9995 0.1192 1
F9 0.9142 0.4692 0.6042 1
F10 0.1337 0.5141 0.1079 1
F11 0.6455 0.9995 0.6192 1
F12 0.9075 0.0279 0.3983 1
F13 0.5858 0.4692 0.1042 1
V2 0.8371 0.2479 0.5021 1
V3 0.6629 0.2479 0.0021 1
F14 0.0925 0.9721 0.6017 1
V4 0.1629 0.7521 0.4979 1
F15 0.4142 0.5308 0.8958 1
F16 0.0858 0.5308 0.3958 1

=====

(2)
# V6F13 (GGA+U, optimized geometry)
# * DFT formation energy: -2.97 eV/atom
data_V6F13
_chemical_formula_sum 'V12 F26'
_symmetry_space_group_name_H-M 'P 1'
_symmetry_Int_Tables_number 1
_cell_length_a 8.1277
_cell_length_b 8.1750
_cell_length_c 10.5837
_cell_angle_alpha 72.20
_cell_angle_beta 75.68
_cell_angle_gamma 61.91
loop_
_symmetry_equiv_pos_as_xyz
'x,y,z'
loop_
_atom_site_label
_atom_site_fract_x
_atom_site_fract_y
_atom_site_fract_z
_atom_site_occupancy
F1 0.3675 0.4562 0.1356 1
F2 0.9780 0.2687 0.3712 1
V1 0.7586 0.5027 0.2722 1
F3 0.8845 0.4451 0.6138 1
V2 0.1343 0.2800 0.5018 1
V3 0.7812 0.5751 0.9778 1
V4 0.5799 0.1555 0.5020 1
F4 0.2593 0.8384 0.3621 1
F5 0.5537 0.6822 0.1388 1
V5 0.8657 0.7200 0.4982 1
F6 0.6034 0.8766 0.5983 1
F7 0.4661 0.5715 0.6242 1
F8 0.7650 0.8307 0.8700 1
F9 0.1704 0.6867 0.8557 1
F10 0.1155 0.5549 0.3862 1
V6 0.0449 0.0737 0.2457 1
V7 0.9551 0.9263 0.7543 1
F11 0.5339 0.4285 0.3758 1
V8 0.4201 0.8445 0.4980 1
F12 0.1207 0.8606 0.1499 1
F13 0.3966 0.1234 0.4017 1
F14 0.8375 0.9950 0.3861 1
F15 0.1625 0.0050 0.6139 1
F16 0.6325 0.5438 0.8644 1
V9 0.2188 0.4249 0.0222 1
F17 0.0524 0.4218 0.8848 1
V10 0.6781 0.3676 0.7514 1
V11 0.3219 0.6324 0.2486 1
F18 0.0220 0.7313 0.6288 1
F19 0.4463 0.3178 0.8612 1
V12 0.2414 0.4973 0.7278 1
F20 0.2350 0.1693 0.1300 1
F21 0.8296 0.3133 0.1443 1
F22 0.8793 0.1394 0.8501 1
F23 0.7407 0.1616 0.6379 1
F24 0.3144 0.2950 0.6128 1
F25 0.9476 0.5782 0.1152 1
F26 0.6856 0.7050 0.3872 1

=====

(3)
# VF4 (GGA+U, optimized geometry)
# * DFT formation energy: -3.00 eV/atom
data_VF4
_chemical_formula_sum 'V8 F32'
_symmetry_space_group_name_H-M 'P 1'
_symmetry_Int_Tables_number 1
_cell_length_a 7.4415
_cell_length_b 7.6758
_cell_length_c 10.7796
_cell_angle_alpha 90.00
_cell_angle_beta 90.00
_cell_angle_gamma 90.00
loop_
_symmetry_equiv_pos_as_xyz
'x,y,z'
loop_
_atom_site_label
_atom_site_fract_x
_atom_site_fract_y
_atom_site_fract_z
_atom_site_occupancy
F1 0.4464 0.1417 0.7467 1
F2 0.5604 0.3726 0.9116 1
V1 0.0002 0.1070 0.2537 1
V2 0.9998 0.8930 0.7463 1
F3 0.4348 0.4062 0.5966 1
V3 0.5002 0.8930 0.7463 1
F4 0.5652 0.9062 0.9034 1
F5 0.9348 0.5938 0.4034 1
F6 0.9464 0.8583 0.2533 1
F7 0.0604 0.8726 0.5884 1
F8 0.2500 0.4395 0.8048 1
F9 0.0536 0.1417 0.7467 1
F10 0.2500 0.6544 0.2952 1
F11 0.9396 0.3726 0.9116 1
V4 0.4998 0.1070 0.2537 1
F12 0.2500 0.0605 0.3048 1
F13 0.4464 0.3583 0.2467 1
F14 0.0536 0.3583 0.2467 1
F15 0.9348 0.9062 0.9034 1
F16 0.5604 0.1274 0.4116 1
F17 0.0604 0.6274 0.0884 1
V5 0.5002 0.6070 0.2463 1
F18 0.4348 0.0938 0.0966 1
F19 0.5536 0.8583 0.2533 1
F20 0.9396 0.1274 0.4116 1
F21 0.4396 0.8726 0.5884 1
F22 0.0652 0.0938 0.0966 1
F23 0.7500 0.9395 0.6952 1
F24 0.4396 0.6274 0.0884 1
F25 0.0652 0.4062 0.5966 1
V6 0.4998 0.3930 0.7537 1
F26 0.7500 0.1544 0.2048 1
F27 0.7500 0.5605 0.1952 1
F28 0.5536 0.6417 0.7533 1
F29 0.2500 0.8456 0.7952 1
F30 0.9464 0.6417 0.7533 1
F31 0.5652 0.5938 0.4034 1
V7 0.9998 0.6070 0.2463 1
F32 0.7500 0.3456 0.7048 1
V8 0.0002 0.3930 0.7537 1

=====

(4)
# VF3 (GGA+U, optimized geometry)
# * DFT formation energy: -3.17 eV/atom
data_VF3
_chemical_formula_sum 'V4 F12'
_symmetry_space_group_name_H-M 'P 1'
_symmetry_Int_Tables_number 1
_cell_length_a 4.8699
_cell_length_b 4.8699
_cell_length_c 9.0314
_cell_angle_alpha 90.00
_cell_angle_beta 90.00
_cell_angle_gamma 90.00
loop_
_symmetry_equiv_pos_as_xyz
'x,y,z'
loop_
_atom_site_label
_atom_site_fract_x
_atom_site_fract_y
_atom_site_fract_z
_atom_site_occupancy
V1 0.5000 0.5000 0.6722 1
F1 0.2117 0.2117 0.3203 1
F2 0.7117 0.2883 0.8203 1
F3 0.7883 0.7883 0.6797 1
F4 0.1815 0.1815 0.0000 1
F5 0.7117 0.2883 0.1797 1
F6 0.7883 0.7883 0.3203 1
F7 0.6815 0.3185 0.5000 1
F8 0.3185 0.6815 0.5000 1
V2 0.0000 0.0000 0.8278 1
V3 0.5000 0.5000 0.3278 1
F9 0.2883 0.7117 0.8203 1
F10 0.2883 0.7117 0.1797 1
F11 0.2117 0.2117 0.6797 1
F12 0.8185 0.8185 0.0000 1
V4 0.0000 0.0000 0.1722 1

=====

Computed values of total DFT energy (no corrections) (unit: eV/atom) for the preceding records, in sequence: -5.5852; -6.2936; -5.6351; -6.1037.